DFT (PBE) results for La4Ti3O12 after structural relaxation.

Output
Theoretical density, g/cm3: 5.83
Magnetization, Bohr magnetons per cell: 0.00
Symmetry: No. 2
ΔE_f, eV per formula unit: -70.7

Cell lengths 5.576, 5.712, 7.971 Å; angles 91.23, 90.69, 90.52 degrees
Fractional positions:
La1 0.011 0.042 0.269
La2 0.487 0.572 0.274
La3 0.513 0.428 0.726
La4 0.989 0.958 0.731
Ti1 0.000 0.500 0.000
Ti2 0.000 0.500 0.500
Ti3 0.500 0.000 0.000
O1 0.083 0.515 0.757
O2 0.177 0.786 0.461
O3 0.216 0.781 0.048
O4 0.277 0.289 0.050
O5 0.283 0.323 0.456
O6 0.407 0.021 0.774
O7 0.593 0.979 0.226
O8 0.717 0.677 0.544
O9 0.723 0.711 0.950
O10 0.784 0.219 0.952
O11 0.823 0.214 0.539
O12 0.917 0.485 0.243